# ErMn4Cu3O12, optimized geometry, DFT PBE with a Hubbard U
data_ErMn4Cu3O12
_chemical_formula_sum 'Er2 Mn8 Cu6 O24'
_space_group_name_H-M_alt 'I m -3'
_space_group_IT_number 204
_space_group_name_Hall '-I 2 2 3'
_cell_length_a 7.3965
_cell_length_b 7.3965
_cell_length_c 7.3965
_cell_angle_alpha 90.00
_cell_angle_beta 90.00
_cell_angle_gamma 90.00
loop_
_atom_site_label
_atom_site_type_symbol
_atom_site_fract_x
_atom_site_fract_y
_atom_site_fract_z
_atom_site_occupancy
Er1 Er 0.0000 0.0000 0.0000 1
Mn1 Mn 0.2500 0.2500 0.2500 1
Cu1 Cu 0.0000 0.0000 0.5000 1
O1 O 0.0000 0.3018 0.1690 1
# VASP energy: -6.7416 eV/atom
# ΔH_f (0 K): -1.843 eV/atom

=====

# ErCuW2O8, optimized geometry, DFT PBE with a Hubbard U
data_ErCuW2O8
_chemical_formula_sum 'Er1 Cu1 W2 O8'
_space_group_name_H-M_alt 'P -1'
_space_group_IT_number 2
_cell_length_a 5.1396
_cell_length_b 6.0597
_cell_length_c 6.0842
_cell_angle_alpha 108.90
_cell_angle_beta 91.44
_cell_angle_gamma 114.40
loop_
_space_group_symop_operation_xyz
'x,y,z'
'-x,-y,-z'
loop_
_atom_site_label
_atom_site_type_symbol
_atom_site_fract_x
_atom_site_fract_y
_atom_site_fract_z
_atom_site_occupancy
Er1 Er 0.0000 0.0000 0.0000 1
Cu1 Cu 0.5000 0.0000 0.5000 1
W1 W 0.2519 0.4902 0.6716 1
O1 O 0.0199 0.2565 0.7938 1
O2 O 0.0258 0.6925 0.6682 1
O3 O 0.4590 0.2956 0.5249 1
O4 O 0.4781 0.2557 0.0706 1
# VASP energy: -7.3668 eV/atom
# energy relative to the lowest polymorph listed for this composition: 0.002 eV per atom
# ΔH_f (0 K): -2.384 eV/atom

=====

# ErCuW2O8, optimized geometry, DFT PBE with a Hubbard U
data_ErCuW2O8
_chemical_formula_sum 'Er1 Cu1 W2 O8'
_space_group_name_H-M_alt 'P 1'
_space_group_IT_number 1
_cell_length_a 5.1566
_cell_length_b 6.0564
_cell_length_c 6.0723
_cell_angle_alpha 109.16
_cell_angle_beta 114.42
_cell_angle_gamma 91.72
loop_
_space_group_symop_operation_xyz
'x,y,z'
loop_
_atom_site_label
_atom_site_type_symbol
_atom_site_fract_x
_atom_site_fract_y
_atom_site_fract_z
_atom_site_occupancy
Er1 Er 0.0000 0.0000 0.0000 1
Cu1 Cu 0.4803 0.4842 0.9903 1
W1 W 0.2392 0.6613 0.4849 1
W2 W 0.7393 0.3242 0.5079 1
O1 O 0.0147 0.6706 0.6865 1
O2 O 0.0169 0.7866 0.2521 1
O3 O 0.4431 0.5080 0.2877 1
O4 O 0.4810 0.0549 0.2564 1
O5 O 0.5174 0.9177 0.7405 1
O6 O 0.5229 0.4608 0.6962 1
O7 O 0.9568 0.3214 0.3011 1
O8 O 0.9802 0.2127 0.7486 1
# VASP energy: -7.3674 eV/atom
# energy relative to the lowest polymorph listed for this composition: 0.002 eV per atom
# ΔH_f (0 K): -2.385 eV/atom

=====

# ErCuW2O8, optimized geometry, DFT PBE with a Hubbard U
data_ErCuW2O8
_chemical_formula_sum 'Er2 Cu2 W4 O16'
_space_group_name_H-M_alt 'P 1 2/c 1'
_space_group_IT_number 13
_cell_length_a 5.0817
_cell_length_b 5.9845
_cell_length_c 10.9848
_cell_angle_alpha 90.00
_cell_angle_beta 114.71
_cell_angle_gamma 90.00
loop_
_space_group_symop_operation_xyz
'x,y,z'
'-x,-y,-z'
'-x,y,-z+1/2'
'x,-y,z+1/2'
loop_
_atom_site_label
_atom_site_type_symbol
_atom_site_fract_x
_atom_site_fract_y
_atom_site_fract_z
_atom_site_occupancy
Er1 Er 0.0000 0.1659 0.2500 1
Cu1 Cu 0.5000 0.2161 0.7500 1
W1 W 0.2378 0.3310 0.9890 1
O1 O 0.1617 0.4104 0.6107 1
O2 O 0.2165 0.1343 0.1122 1
O3 O 0.2687 0.1390 0.8635 1
O4 O 0.3394 0.3854 0.4028 1
# VASP energy: -7.3693 eV/atom
# energy relative to the lowest polymorph listed for this composition: 0.000 eV per atom
# ΔH_f (0 K): -2.386 eV/atom